No. 1
DFT (PBE+U) results for a relaxed Li3V2P3O12 crystal.

Geometry as extended XYZ:
```
80
Lattice="8.8286 0.0000 0.0000 0.0000 8.7032 0.0000 -8.7893 0.0000 12.2114" Properties=species:S:1:pos:R:3 pbc="T T T"
Li -0.6715 1.8038 2.9890
Li -5.0661 2.5478 9.0947
Li 1.2438 6.1817 0.5413
Li -3.1508 6.8731 6.6470
Li -0.1476 5.8681 3.5774
Li -4.5423 7.1867 9.6831
Li 4.5816 1.5165 2.5283
Li 0.1869 2.8351 8.6340
Li 3.1901 1.8301 5.5644
Li -1.2045 2.5215 11.6701
Li 5.1054 6.1554 3.1167
Li 0.7108 6.8993 9.2224
V -2.1174 0.2580 4.7470
V -6.5121 4.0936 10.8527
V 2.2037 0.2703 1.3964
V -2.1909 4.0813 7.5021
V 2.2302 4.6219 4.7094
V -2.1644 8.4329 10.8151
V 6.5514 4.6096 1.3587
V 2.1567 8.4452 7.4644
P -5.3474 5.2611 7.8814
P -0.9527 7.7937 1.7757
P -3.4774 0.9087 7.8929
P 0.9172 3.4429 1.7872
P -0.2905 6.5066 6.1817
P 4.1041 6.5481 0.0760
P -4.0648 2.1550 12.1354
P 0.3298 2.1965 6.0297
P -0.8779 5.2603 10.4242
P 3.5167 7.7945 4.3185
P 0.9920 0.9095 10.4357
P 5.3867 3.4421 4.3300
O -1.3425 6.3224 2.1155
O -5.7371 6.7324 8.2212
O -1.6299 0.0968 2.7613
O -6.0246 4.2548 8.8670
O -5.0358 1.0787 7.6905
O -0.6411 3.2729 1.5848
O -7.4505 0.5389 11.8557
O -3.0558 3.8127 5.7500
O -2.8373 0.2795 6.6318
O 1.5574 4.0721 0.5261
O -3.8041 5.2404 8.0711
O 0.5906 7.8144 1.9654
O -5.2699 5.6030 11.2088
O -0.8752 7.4518 5.1031
O 1.4153 2.0284 2.1282
O -2.9793 2.3232 8.2339
O -0.5343 1.5088 4.9516
O -4.9290 2.8428 11.0573
O 1.1511 4.4427 2.9487
O -3.2436 8.6121 9.0544
O -1.5063 5.8800 6.9014
O 2.8884 7.1748 0.7957
O 0.5210 5.4861 5.3664
O -3.8737 7.5687 11.4721
O 3.9130 1.1345 0.7393
O -0.4817 3.2171 6.8450
O -2.8491 1.5284 11.4157
O 1.5456 2.8232 5.3100
O 3.2829 0.0911 3.1570
O -1.1118 4.2605 9.2627
O 4.9683 5.8604 1.1541
O 0.5736 7.1944 7.2598
O 3.0186 6.3800 3.9775
O -1.3760 6.6748 10.0832
O 0.9145 1.2514 7.1084
O 5.3092 3.1002 1.0026
O -0.5513 0.8888 10.2460
O 3.8434 3.4628 4.1403
O -1.5181 4.6310 11.6854
O 2.8766 8.4237 5.5797
O 3.0951 4.8905 6.4615
O 7.4898 8.1643 0.3557
O 0.6804 5.4303 10.6266
O 5.0751 7.6245 4.5209
O 6.0639 4.4484 3.3445
O 1.6692 8.6064 9.4502
O 5.7764 1.9708 3.9902
O 1.3818 2.3808 10.0959
```

energy relative to the elements	-2.703	eV/atom
total magnetization	4.00	μB per formula unit
energy	-7.10	eV/atom



No. 2
DFT (PBE+U) results for a relaxed BaFe15O23 crystal.

Geometry as extended XYZ:
```
78
Lattice="2.9669 1.7129 27.9335 -2.9669 1.7129 27.9335 0.0000 -3.4259 27.9335" Properties=species:S:1:pos:R:3 pbc="T T T"
Ba 0.0000 0.0000 8.2958
Ba 0.0000 0.0000 75.5048
Fe -1.4835 -0.8565 27.9335
Fe 0.0000 0.0000 1.8717
Fe 0.0000 0.0000 14.6674
Fe -1.4850 -0.8574 44.2951
Fe 0.0000 0.0000 18.2796
Fe 0.0000 -1.7144 32.8860
Fe -1.4847 0.8572 32.8860
Fe 0.0000 0.0000 21.0591
Fe -1.4847 -0.8572 50.9146
Fe 0.0000 0.0000 24.8335
Fe 0.0000 -1.7148 39.5055
Fe -1.4851 0.8574 39.5055
Fe 0.0000 0.0000 30.3597
Fe 0.0000 0.0000 36.2797
Fe -1.4834 0.8565 55.8670
Fe 0.0000 1.7129 27.9335
Fe 0.0000 0.0000 41.9003
Fe 0.0000 0.0000 47.5209
Fe 0.0000 0.0000 53.4409
Fe 1.4850 -0.8574 44.2951
Fe 0.0000 1.7148 44.2951
Fe 0.0000 0.0000 58.9671
Fe 1.4847 0.8572 32.8860
Fe 0.0000 0.0000 62.7415
Fe 1.4847 -0.8572 50.9146
Fe 0.0000 1.7144 50.9146
Fe 0.0000 0.0000 65.5210
Fe 1.4850 0.8574 39.5055
Fe 0.0000 0.0000 69.1332
Fe 0.0000 0.0000 81.9289
O 0.0000 -1.7971 17.3333
O -1.5563 0.8985 17.3333
O 0.0000 0.0000 3.7310
O -1.6283 -0.9401 36.2007
O -1.3413 -0.7744 31.5374
O 0.0000 -1.7189 22.0363
O -1.4886 0.8595 22.0363
O 0.0000 0.0000 12.7063
O -1.3398 -0.7735 40.6863
O 0.0000 -1.5982 29.1793
O -1.3841 0.7991 29.1793
O 0.0000 0.0000 26.7279
O -1.3841 -0.7991 54.6213
O 0.0000 -1.5470 43.1143
O -1.3398 0.7735 43.1143
O 0.0000 -1.8802 47.5999
O -1.6283 0.9401 47.5999
O -1.4886 -0.8595 61.7643
O 0.0000 0.0000 33.9119
O -1.5563 -0.8985 66.4672
O 0.0000 0.0000 38.4654
O 0.0000 -1.5488 52.2632
O -1.3413 0.7744 52.2632
O 1.3413 -0.7744 31.5373
O 0.0000 1.5488 31.5373
O 0.0000 0.0000 45.3352
O 1.5563 0.8985 17.3334
O 0.0000 0.0000 49.8887
O 1.4886 0.8595 22.0363
O 1.6283 -0.9401 36.2007
O 0.0000 1.8802 36.2007
O 1.3398 -0.7735 40.6864
O 0.0000 1.5470 40.6864
O 1.3841 0.7991 29.1793
O 0.0000 0.0000 57.0726
O 1.3841 -0.7991 54.6213
O 0.0000 1.5982 54.6213
O 1.3398 0.7735 43.1142
O 0.0000 0.0000 71.0943
O 1.4886 -0.8595 61.7642
O 0.0000 1.7189 61.7642
O 1.3413 0.7744 52.2632
O 1.6283 0.9401 47.6000
O 0.0000 0.0000 80.0696
O 1.5563 -0.8985 66.4673
O 0.0000 1.7971 66.4673
```

energy relative to the elements	-1.548	eV/atom
total magnetization	4.16	μB per formula unit
energy	-6.50	eV/atom



No. 3
DFT (PBE+U) results for a relaxed Na2MnCdFeP3O12 crystal.

Geometry as extended XYZ:
```
40
Lattice="6.1434 -6.4257 0.0000 6.1434 6.4257 0.0000 -2.7496 0.0000 6.0518" Properties=species:S:1:pos:R:3 pbc="T T T"
Na 0.0000 0.0000 0.0000
Na 5.4586 0.2790 1.5087
Na 4.0786 0.2790 4.5431
Na 4.7686 -5.8530 3.0259
Mn 0.2973 2.2124 5.3798
Mn 9.2400 2.2124 0.6720
Cd 4.7686 3.2135 3.0259
Cd 6.1434 -2.6882 0.0000
Fe 1.7055 -1.7712 2.3226
Fe 7.8318 -1.7712 3.7292
P 1.8798 1.6078 2.2893
P 6.1434 3.0799 0.0000
P 0.4721 -1.1120 5.2987
P 7.6574 1.6078 3.7625
P 4.7686 -2.5130 3.0259
P 9.0651 -1.1120 0.7531
O 1.2530 2.5121 3.4008
O 3.3120 4.0252 4.7831
O -0.3538 0.1819 5.1040
O 1.1782 0.1920 2.2649
O 4.9309 2.1674 0.2055
O 6.2252 4.0252 1.2687
O 3.3885 1.4343 2.5695
O 0.3825 -1.9060 3.9290
O 2.5731 -1.9372 0.4029
O 4.6063 2.1674 5.8462
O 1.9668 -0.8696 5.6198
O 6.1487 1.4343 3.4823
O 3.5343 -1.5517 3.0344
O 8.2842 2.5121 2.6510
O 1.8079 -4.1892 5.1494
O 7.5704 -0.8696 0.4320
O 6.0029 -1.5517 3.0174
O 4.8280 -3.4108 1.7671
O 8.3590 0.1920 3.7869
O 4.7092 -3.4108 4.2847
O 9.8911 0.1819 0.9478
O 6.9641 -1.9372 5.6489
O 9.1548 -1.9060 2.1228
O 7.7293 -4.1892 0.9024
```

energy relative to the elements	-2.446	eV/atom
total magnetization	10.00	μB per formula unit
energy	-6.68	eV/atom



No. 4
DFT (PBE+U) results for a relaxed LiVTeO5 crystal.

Geometry as extended XYZ:
```
32
Lattice="7.4084 0.0000 0.0000 0.0000 8.6070 0.0000 0.0000 0.0000 10.0393" Properties=species:S:1:pos:R:3 pbc="T T T"
Li 1.0058 2.0874 3.4461
Li 2.6984 6.5196 8.4658
Li 4.7100 2.2161 6.5932
Li 6.4026 6.3909 1.5735
V 1.7797 3.3219 8.0706
V 1.9245 5.2851 3.0509
V 5.4839 0.9816 1.9687
V 5.6287 7.6254 6.9884
Te 0.6309 1.3420 6.3133
Te 3.0733 7.2650 1.2936
Te 4.3351 2.9615 3.7261
Te 6.7776 5.6455 8.7457
O 0.1601 2.6858 5.1314
O 0.3408 5.4959 2.6001
O 1.1075 8.5395 5.2770
O 1.1748 5.0937 8.0458
O 1.4749 2.5744 9.4649
O 2.2293 6.0326 4.4452
O 2.5294 3.5133 3.0262
O 2.5967 0.0675 0.2574
O 3.3634 3.1111 7.6198
O 3.5442 5.9212 0.1118
O 3.8643 1.6177 4.9079
O 4.0450 7.4146 7.4392
O 4.8117 4.3710 4.7623
O 4.8790 7.8168 1.9935
O 5.1791 1.7291 0.5745
O 5.9335 6.8779 5.5941
O 6.2336 0.7902 7.0132
O 6.3009 4.2360 9.7820
O 7.0676 1.1924 2.4195
O 7.2484 6.9893 9.9276
```

energy relative to the elements	-1.608	eV/atom
total magnetization	0.00	μB per formula unit
energy	-5.83	eV/atom



No. 5
DFT (PBE+U) results for a relaxed Mn2FeO4 crystal.

Geometry as extended XYZ:
```
14
Lattice="-3.0834 3.1263 4.2162 3.0834 -3.1263 4.2162 3.0834 3.1263 -4.2162" Properties=species:S:1:pos:R:3 pbc="T T T"
Mn 0.0000 0.0000 0.0000
Mn 3.0834 1.5632 1.0933
Mn 0.0000 3.1263 0.0000
Mn 0.0000 1.5632 3.1229
Fe 1.5417 1.5632 -2.1081
Fe 1.5417 -1.5632 2.1081
O 3.0834 2.9689 -2.2486
O 1.4306 1.5632 -0.1064
O 1.6528 -1.5632 4.1098
O 3.0834 -0.1574 2.2486
O 0.0000 3.2837 1.9676
O 1.4306 4.6895 0.1064
O 1.6528 1.5632 4.3225
O 0.0000 0.1574 6.4648
```

energy relative to the elements	-1.885	eV/atom
total magnetization	14.00	μB per formula unit
energy	-7.35	eV/atom



No. 6
DFT (PBE+U) results for a relaxed CrB6H36C8O2 crystal.

Geometry as extended XYZ:
```
106
Lattice="7.4516 0.0000 0.0000 0.0000 17.8263 0.0000 -2.9607 0.0000 7.9624" Properties=species:S:1:pos:R:3 pbc="T T T"
Cr 0.0000 0.0000 0.0000
Cr -1.4803 8.9131 3.9812
B -2.1234 1.4238 5.9477
B -0.6431 7.4893 1.9665
B -0.7596 2.4607 6.4941
B 0.7207 6.4525 2.5129
B -0.7117 0.6829 6.7481
B 0.7686 8.2302 2.7669
B 3.7223 9.5961 5.1955
B 5.2027 17.1433 1.2143
B 3.7702 11.3738 5.4495
B 5.2505 15.3656 1.4683
B 5.1340 10.3370 5.9960
B 6.6143 16.4025 2.0147
H -2.0330 2.6800 5.8208
H -0.5527 6.2331 1.8396
H -2.1809 9.9209 7.1161
H -0.7006 16.8186 3.1349
H -0.0664 10.7897 1.4920
H -1.5467 15.9497 5.4732
H -0.7876 12.5922 3.9167
H -2.2679 14.1472 7.8979
H -0.2205 3.2030 2.4850
H -1.7008 5.7102 6.4662
H -1.2504 10.3290 5.3701
H 0.2299 16.4104 1.3889
H 0.6530 12.7775 2.8953
H -0.8274 13.9619 6.8765
H -0.9432 3.2016 7.4274
H 0.5372 5.7115 3.4462
H 0.6363 1.0956 3.4047
H -0.8440 7.8175 7.3859
H 0.4879 11.3448 3.9248
H -0.9924 15.3946 7.9060
H -0.9147 0.1592 7.8468
H 0.5657 8.7540 3.8655
H -0.0259 2.8831 5.6342
H 1.4544 6.0301 1.6530
H 1.3925 8.9533 2.0348
H -0.0879 17.7861 6.0161
H 1.7469 0.3215 2.2556
H 0.2665 8.5917 6.2368
H 0.1279 1.5451 7.1550
H 1.6082 7.3680 3.1738
H 1.7954 3.3217 3.0157
H 0.3151 5.5914 6.9969
H 3.0230 10.9854 0.4705
H 1.5427 15.7540 4.4517
H 2.8531 2.5504 1.7984
H 1.3727 6.3627 5.7797
H 3.1182 11.4636 2.1828
H 1.6378 15.2758 6.1640
H 2.9483 2.0723 3.5108
H 1.4679 6.8408 7.4920
H 4.1758 12.2349 0.9655
H 2.6955 14.5045 4.9468
H 2.8827 10.4583 4.7887
H 4.3630 16.2811 0.8075
H 4.2244 9.2346 1.7257
H 2.7440 17.5048 5.7069
H 4.5788 0.0402 1.9464
H 3.0984 8.8730 5.9276
H 3.0365 11.7962 6.3094
H 4.5168 14.9432 2.3282
H 3.9253 9.0723 4.0969
H 5.4056 17.6671 0.1157
H 5.4833 2.4317 0.0564
H 4.0030 6.4815 4.0376
H 5.3349 10.0088 0.5765
H 3.8546 16.7306 4.5577
H 3.9537 12.1147 4.5163
H 5.4341 14.6247 0.5351
H 5.3183 3.8643 1.0860
H 3.8379 5.0488 5.0672
H 4.2610 1.4159 6.5736
H 5.7413 7.4973 2.5923
H 6.1917 12.1161 1.4963
H 4.7114 14.6233 5.4775
H 6.7588 3.6790 0.0645
H 5.2785 5.2341 4.0457
H 6.0376 1.8766 2.4893
H 4.5573 7.0366 6.4705
H 5.1915 1.0077 4.8275
H 6.6718 7.9054 0.8463
H 5.0436 11.5932 6.1229
H 6.5240 15.1463 2.1417
C -0.7554 11.3726 2.1240
C -2.2358 15.3669 6.1052
C -0.0680 12.0469 3.2927
C -1.5483 14.6925 7.2739
C 1.2497 1.2663 2.5079
C -0.2306 7.6468 6.4891
C 2.2613 2.3785 2.7041
C 0.7810 6.5346 6.6853
C 3.7099 11.2917 1.2772
C 2.2296 15.4477 5.2584
C 4.7216 10.1795 1.4733
C 3.2412 16.5599 5.4545
C 6.0392 3.1338 0.6885
C 4.5589 5.7793 4.6697
C 6.7267 2.4594 1.8572
C 5.2463 6.4537 5.8384
O 0.3231 1.5429 1.4022
O -1.1573 7.3702 5.3834
O 5.6482 10.4560 2.5791
O 4.1679 16.2834 6.5603
```

energy relative to the elements	-0.200	eV/atom
total magnetization	4.07	μB per formula unit
energy	-4.96	eV/atom